# 1
Here is crystalline Ti2SbP3O12 at its relaxed geometry from Materials Project. Energies are from PBE-GGA.

Lattice parameters (Å, degrees): 8.9581 8.9581 8.9581 58.05 58.05 58.05
Positions (direct):
1 O 0.7302 0.0814 0.9374
2 O 0.9374 0.7302 0.0814
3 O 0.3826 0.1994 0.9949
4 O 0.7698 0.5626 0.4186
5 O 0.2302 0.4374 0.5814
6 O 0.6174 0.8006 0.0051
7 O 0.0814 0.9374 0.7302
8 O 0.5051 0.3006 0.1174
9 O 0.8826 0.4949 0.6994
10 O 0.0626 0.2698 0.9186
11 O 0.1994 0.9949 0.3826
12 O 0.5626 0.4186 0.7698
13 O 0.4374 0.5814 0.2302
14 O 0.4186 0.7698 0.5626
15 O 0.6994 0.8826 0.4949
16 O 0.9186 0.0626 0.2698
17 O 0.1174 0.5051 0.3006
18 O 0.8006 0.0051 0.6174
19 O 0.0051 0.6174 0.8006
20 O 0.2698 0.9186 0.0626
21 O 0.9949 0.3826 0.1994
22 O 0.3006 0.1174 0.5051
23 O 0.4949 0.6994 0.8826
24 O 0.5814 0.2302 0.4374
25 P 0.4592 0.7500 0.0408
26 P 0.5408 0.2500 0.9592
27 P 0.2500 0.9592 0.5408
28 P 0.7500 0.0408 0.4592
29 P 0.9592 0.5408 0.2500
30 P 0.0408 0.4592 0.7500
31 Sb 0.0000 0.0000 0.0000
32 Sb 0.5000 0.5000 0.5000
33 Ti 0.6480 0.6480 0.6480
34 Ti 0.8520 0.8520 0.8520
35 Ti 0.3520 0.3520 0.3520
36 Ti 0.1480 0.1480 0.1480

Values from the calculation:
- MP2020-corrected energy (eV/atom) = -8.04
- energy of formation from the pure elements (eV per atom) = -2.736
- density (g cm⁻³) = 3.44
- total DFT energy (no corrections) (eV/atom) = -7.59

=====

# 2
Here is crystalline Na3GaSiGeP2O12 at its relaxed geometry from Materials Project. Energies are from PBE-GGA.

Lattice parameters (Å, degrees): 8.7206 8.7206 21.7666 90.19 89.81 120.05
Positions (direct):
1 O 0.1719 0.0204 0.5905
2 O 0.5442 0.8455 0.4764
3 O 0.5209 0.1567 0.9246
4 O 0.1552 0.9751 0.9096
5 O 0.8272 0.0274 0.8128
6 O 0.8430 0.0348 0.0895
7 O 0.5327 0.6973 0.9725
8 O 0.8783 0.3750 0.6387
9 O 0.6356 0.1400 0.4209
10 O 0.5144 0.8180 0.7549
11 O 0.0187 0.1911 0.9117
12 O 0.8433 0.4791 0.4246
13 O 0.8360 0.8092 0.5884
14 O 0.5058 0.6269 0.8568
15 O 0.1426 0.4950 0.5764
16 O 0.6250 0.1217 0.1387
17 O 0.1234 0.6204 0.3564
18 O 0.4869 0.3615 0.1434
19 O 0.9648 0.7871 0.8079
20 O 0.3530 0.8498 0.5786
21 O 0.5064 0.3603 0.4218
22 O 0.1751 0.1963 0.4120
23 O 0.4978 0.1272 0.6438
24 O 0.9726 0.1728 0.3128
25 O 0.3068 0.8280 0.2562
26 O 0.8369 0.2908 0.5244
27 O 0.0418 0.1996 0.1897
28 O 0.8728 0.5022 0.1438
29 O 0.0249 0.8448 0.4096
30 O 0.4605 0.2905 0.0278
31 O 0.8037 0.8249 0.9120
32 O 0.6835 0.1713 0.7463
33 O 0.6397 0.4936 0.9218
34 O 0.3796 0.8766 0.8564
35 O 0.1694 0.9562 0.1924
36 O 0.3731 0.4942 0.3568
37 O 0.2936 0.8399 0.9774
38 O 0.8089 0.9813 0.4117
39 O 0.5050 0.8574 0.0764
40 O 0.4949 0.8660 0.3606
41 O 0.2110 0.1711 0.8060
42 O 0.9652 0.1570 0.5895
43 O 0.8289 0.7890 0.3060
44 O 0.4752 0.3206 0.7438
45 O 0.1706 0.2109 0.6921
46 O 0.7095 0.5395 0.5278
47 O 0.1601 0.7064 0.4774
48 O 0.6385 0.5131 0.6434
49 O 0.8323 0.5266 0.7426
50 O 0.4642 0.1687 0.5211
51 O 0.7891 0.8294 0.1921
52 O 0.7092 0.1631 0.0244
53 O 0.3039 0.4800 0.7573
54 O 0.3027 0.4673 0.4725
55 O 0.8313 0.5358 0.0211
56 O 0.1720 0.6932 0.7562
57 O 0.1502 0.6470 0.0786
58 O 0.6794 0.5248 0.2438
59 O 0.8004 0.9582 0.6897
60 O 0.8600 0.3644 0.9209
61 O 0.1545 0.4558 0.9764
62 O 0.1820 0.4856 0.2549
63 O 0.4734 0.1677 0.2426
64 O 0.0438 0.8306 0.6924
65 O 0.8287 0.3165 0.2463
66 O 0.5200 0.6961 0.2573
67 O 0.9796 0.8281 0.0905
68 O 0.2129 0.0352 0.3079
69 O 0.5029 0.6448 0.5772
70 O 0.3552 0.4971 0.0772
71 O 0.1908 0.1640 0.0884
72 O 0.1340 0.5051 0.8606
73 Ge 0.3387 0.6728 0.8147
74 Ge 0.0064 0.0079 0.6482
75 Ge 0.6647 0.3391 0.4813
76 Ge 0.9921 0.9936 0.1482
77 Ge 0.6609 0.3353 0.9813
78 Ge 0.3272 0.6613 0.3147
79 Na 0.6360 0.6351 0.7488
80 Na 0.3289 0.0297 0.4178
81 Na 0.0000 0.9970 0.4983
82 Na 0.3259 0.6541 0.6650
83 Na 0.7011 0.0308 0.9140
84 Na 0.3459 0.6741 0.1650
85 Na 0.9703 0.6711 0.9178
86 Na 0.9945 0.6280 0.2487
87 Na 0.6699 0.3329 0.3318
88 Na 0.0361 0.3414 0.0841
89 Na 0.3720 0.0055 0.7487
90 Na 0.3000 0.9636 0.0816
91 Na 0.6671 0.3301 0.8318
92 Na 0.3649 0.3640 0.2488
93 Na 0.6586 0.9639 0.5841
94 Na 0.0364 0.7000 0.5816
95 Na 0.9692 0.2989 0.4140
96 Na 0.0030 0.0000 0.9983
97 Ga 0.0078 0.0078 0.8520
98 Ga 0.9922 0.9922 0.3520
99 Ga 0.6707 0.3268 0.6855
100 Ga 0.6732 0.3293 0.1855
101 Ga 0.3300 0.6692 0.0184
102 Ga 0.3308 0.6700 0.5184
103 Si 0.3338 0.9638 0.9177
104 Si 0.7159 0.0046 0.7515
105 Si 0.3747 0.0482 0.5839
106 Si 0.0362 0.6662 0.4177
107 Si 0.9954 0.2841 0.2515
108 Si 0.9518 0.6253 0.0839
109 P 0.3802 0.3367 0.0850
110 P 0.3398 0.3833 0.4173
111 P 0.2928 0.9995 0.2505
112 P 0.6633 0.6198 0.5850
113 P 0.2864 0.2933 0.7507
114 P 0.7067 0.7136 0.2507
115 P 0.6209 0.9514 0.4173
116 P 0.0486 0.3791 0.9173
117 P 0.9581 0.3323 0.5831
118 P 0.6167 0.6602 0.9173
119 P 0.0005 0.7072 0.7505
120 P 0.6677 0.0419 0.0831

Values from the calculation:
- MP2020-corrected energy (eV/atom) = -6.90
- energy of formation from the pure elements (eV per atom) = -2.535
- density (g cm⁻³) = 3.43
- total DFT energy (no corrections) (eV/atom) = -6.48

=====

# 3
Here is crystalline SmPa at its relaxed geometry from Materials Project. Energies are from PBE-GGA.

Lattice parameters (Å, degrees): 3.3144 3.3144 5.9257 90.00 90.00 120.00
Positions (direct):
1 Sm 0.3333 0.6667 0.0000
2 Pa 0.6667 0.3333 0.5000

Values from the calculation:
- energy of formation from the pure elements (eV per atom) = 0.249
- density (g cm⁻³) = 11.23
- total DFT energy (no corrections) (eV/atom) = -6.87

=====

# 4
Here is crystalline Zn2Hg3S4I2 at its relaxed geometry from Materials Project. Energies are from PBE-GGA.

Lattice parameters (Å, degrees): 12.3436 9.3675 9.2320 90.00 48.05 90.00
Positions (direct):
1 S 0.3912 0.8585 0.0482
2 S 0.8777 0.6410 0.9722
3 S 0.1501 0.3590 0.9722
4 S 0.6088 0.3585 0.9518
5 S 0.5606 0.1415 0.0482
6 S 0.8499 0.8590 0.0278
7 S 0.1223 0.1410 0.0278
8 S 0.4394 0.6415 0.9518
9 Hg 0.6585 0.9159 0.4259
10 Hg 0.3732 0.5000 0.2536
11 Hg 0.0844 0.5841 0.5741
12 Hg 0.9156 0.0841 0.4259
13 Hg 0.3415 0.4159 0.5741
14 Hg 0.6268 0.0000 0.7464
15 Zn 0.0568 0.0000 0.8864
16 Zn 0.7545 0.2500 0.0000
17 Zn 0.9432 0.5000 0.1136
18 Zn 0.2455 0.7500 0.0000
19 I 0.2832 0.8096 0.6899
20 I 0.7168 0.3096 0.3101
21 I 0.9731 0.6904 0.3101
22 I 0.0269 0.1904 0.6899

Values from the calculation:
- MP2020-corrected energy (eV/atom) = -2.48
- energy of formation from the pure elements (eV per atom) = -0.386
- density (g cm⁻³) = 4.66
- total DFT energy (no corrections) (eV/atom) = -2.23

=====

# 5
Here is crystalline U2CrN3 at its relaxed geometry from Materials Project. Energies are from PBE-GGA.

Lattice parameters (Å, degrees): 6.5866 6.5866 6.5866 151.05 147.30 44.23
Positions (direct):
1 N 0.1692 0.1692 0.0000
2 N 0.8308 0.8308 0.0000
3 N 0.5000 0.0000 0.5000
4 U 0.3551 0.3551 0.0000
5 U 0.6449 0.6449 0.0000
6 Cr 0.0000 0.0000 0.0000

Values from the calculation:
- MP2020-corrected energy (eV/atom) = -10.90
- energy of formation from the pure elements (eV per atom) = -1.356
- density (g cm⁻³) = 12.70
- total DFT energy (no corrections) (eV/atom) = -10.72

=====

# 6
Here is crystalline NaSn3 at its relaxed geometry from Materials Project. Energies are from PBE-GGA.

Lattice parameters (Å, degrees): 6.9308 6.9308 5.2757 90.00 90.00 120.00
Positions (direct):
1 Sn 0.1600 0.3200 0.2500
2 Sn 0.8400 0.1600 0.7500
3 Sn 0.1600 0.8400 0.2500
4 Sn 0.8400 0.6800 0.7500
5 Sn 0.3200 0.1600 0.7500
6 Sn 0.6800 0.8400 0.2500
7 Na 0.6667 0.3333 0.2500
8 Na 0.3333 0.6667 0.7500

Values from the calculation:
- energy of formation from the pure elements (eV per atom) = -0.097
- density (g cm⁻³) = 5.74
- total DFT energy (no corrections) (eV/atom) = -3.43

=====

# 7
Here is crystalline NaFe4Sb12 at its relaxed geometry from Materials Project. Energies are from PBE-GGA.

Lattice parameters (Å, degrees): 7.9698 7.9698 7.9698 109.47 109.47 109.47
Positions (direct):
1 Fe 0.5000 0.5000 0.5000
2 Fe 0.0000 0.5000 0.0000
3 Fe 0.0000 0.0000 0.5000
4 Fe 0.5000 0.0000 0.0000
5 Na 0.0000 0.0000 0.0000
6 Sb 0.3339 0.1728 0.8389
7 Sb 0.5050 0.8389 0.6661
8 Sb 0.1611 0.3339 0.4950
9 Sb 0.4950 0.1611 0.3339
10 Sb 0.8389 0.3339 0.1728
11 Sb 0.1611 0.6661 0.8272
12 Sb 0.8389 0.6661 0.5050
13 Sb 0.6661 0.8272 0.1611
14 Sb 0.8272 0.1611 0.6661
15 Sb 0.1728 0.8389 0.3339
16 Sb 0.3339 0.4950 0.1611
17 Sb 0.6661 0.5050 0.8389

Values from the calculation:
- MP2020-corrected energy (eV/atom) = -5.20
- energy of formation from the pure elements (eV per atom) = -0.214
- density (g cm⁻³) = 7.28
- total DFT energy (no corrections) (eV/atom) = -5.06

=====

# 8
Here is crystalline Ce2S4O17 at its relaxed geometry from Materials Project. Energies are from PBE-GGA.

Lattice parameters (Å, degrees): 5.3946 6.9119 9.1614 80.70 90.00 90.00
Positions (direct):
1 S 0.0000 0.8013 0.8694
2 S 0.0000 0.7145 0.3524
3 S 0.5000 0.1692 0.7112
4 S 0.5000 0.2630 0.2314
5 O 0.2729 0.2940 0.6930
6 O 0.0000 0.5412 0.4691
7 O 0.5000 0.0503 0.8613
8 O 0.2755 0.2654 0.3253
9 O 0.7717 0.6779 0.8879
10 O 0.5000 0.0465 0.5921
11 O 0.7271 0.2940 0.6930
12 O 0.5000 0.4352 0.1135
13 O 0.0000 0.8948 0.4206
14 O 0.7745 0.7137 0.2589
15 O 0.2255 0.7137 0.2589
16 O 0.5000 0.0815 0.1644
17 O 0.0000 0.9226 0.9903
18 O 0.2283 0.6779 0.8879
19 O 0.0000 0.3002 0.9801
20 O 0.7245 0.2654 0.3253
21 O 0.0000 0.9216 0.7202
22 Ce 0.0000 0.1834 0.5205
23 Ce 0.5000 0.7935 0.0630

Values from the calculation:
- MP2020-corrected energy (eV/atom) = -7.10
- energy of formation from the pure elements (eV per atom) = -2.210
- density (g cm⁻³) = 3.35
- total DFT energy (no corrections) (eV/atom) = -6.59

=====

# 9
Here is crystalline PdC2S2O8F2 at its relaxed geometry from Materials Project. Energies are from PBE-GGA.

Lattice parameters (Å, degrees): 15.1757 7.6025 11.4332 49.60 90.00 90.00
Positions (direct):
1 F 0.9164 0.2457 0.3246
2 F 0.0820 0.1635 0.9452
3 F 0.5836 0.2457 0.8246
4 F 0.4164 0.7543 0.1754
5 F 0.0836 0.7543 0.6754
6 F 0.9180 0.8365 0.0548
7 F 0.5820 0.8365 0.5548
8 F 0.4180 0.1635 0.4452
9 O 0.6741 0.9413 0.3460
10 O 0.2208 0.3606 0.8837
11 O 0.0792 0.5707 0.2742
12 O 0.4302 0.7439 0.3900
13 O 0.7841 0.0541 0.9931
14 O 0.5393 0.9524 0.1786
15 O 0.5698 0.2561 0.6100
16 O 0.7159 0.0541 0.4931
17 O 0.9208 0.4293 0.7258
18 O 0.8259 0.9413 0.8460
19 O 0.1066 0.1106 0.6287
20 O 0.3259 0.0587 0.6540
21 O 0.5792 0.4293 0.2258
22 O 0.3934 0.1106 0.1287
23 O 0.2792 0.3606 0.3837
24 O 0.9607 0.9524 0.6786
25 O 0.6066 0.8894 0.8713
26 O 0.2841 0.9459 0.5069
27 O 0.9302 0.2561 0.1100
28 O 0.8934 0.8894 0.3713
29 O 0.1741 0.0587 0.1540
30 O 0.6978 0.4204 0.9787
31 O 0.8022 0.4204 0.4787
32 O 0.4208 0.5707 0.7742
33 O 0.7208 0.6394 0.6163
34 O 0.0393 0.0476 0.3214
35 O 0.2159 0.9459 0.0069
36 O 0.4607 0.0476 0.8214
37 O 0.0698 0.7439 0.8900
38 O 0.1978 0.5796 0.5213
39 O 0.3022 0.5796 0.0213
40 O 0.7792 0.6394 0.1163
41 S 0.6835 0.8666 0.5044
42 S 0.3165 0.1334 0.4956
43 S 0.0568 0.9009 0.7267
44 S 0.5568 0.0991 0.7733
45 S 0.1835 0.1334 0.9956
46 S 0.4432 0.9009 0.2267
47 S 0.8165 0.8666 0.0044
48 S 0.9432 0.0991 0.2733
49 C 0.7415 0.5316 0.4147
50 C 0.6038 0.5397 0.2540
51 C 0.3962 0.4603 0.7460
52 C 0.7585 0.5316 0.9147
53 C 0.1038 0.4603 0.2460
54 C 0.2415 0.4684 0.0853
55 C 0.2585 0.4684 0.5853
56 C 0.8962 0.5397 0.7540
57 Pd 0.1401 0.2753 0.1951
58 Pd 0.6401 0.7247 0.3049
59 Pd 0.8599 0.7247 0.8049
60 Pd 0.3599 0.2753 0.6951

Values from the calculation:
- MP2020-corrected energy (eV/atom) = -6.55
- energy of formation from the pure elements (eV per atom) = -1.524
- density (g cm⁻³) = 2.38
- total DFT energy (no corrections) (eV/atom) = -6.12

=====

# 10
Here is crystalline RbSrCl3 at its relaxed geometry from Materials Project. Energies are from PBE-GGA.

Lattice parameters (Å, degrees): 5.7025 5.7025 5.6986 89.92 89.92 90.07
Positions (direct):
1 Cl 0.4980 0.9989 0.5164
2 Cl 0.5111 0.5111 0.0153
3 Cl 0.9989 0.4980 0.5164
4 Sr 0.4978 0.4978 0.5152
5 Rb 0.9974 0.9974 0.0012

Values from the calculation:
- MP2020-corrected energy (eV/atom) = -4.24
- energy of formation from the pure elements (eV per atom) = -2.600
- density (g cm⁻³) = 2.50
- total DFT energy (no corrections) (eV/atom) = -3.88

=====

# 11
Here is crystalline CoNiTe2 at its relaxed geometry from Materials Project. Energies are from PBE-GGA.

Lattice parameters (Å, degrees): 3.9532 3.9532 5.2846 90.00 90.00 120.00
Positions (direct):
1 Ni 0.0000 0.0000 0.0000
2 Co 0.0000 0.0000 0.5000
3 Te 0.3333 0.6667 0.2603
4 Te 0.6667 0.3333 0.7397

Values from the calculation:
- MP2020-corrected energy (eV/atom) = -5.14
- energy of formation from the pure elements (eV per atom) = -0.341
- density (g cm⁻³) = 8.66
- total DFT energy (no corrections) (eV/atom) = -4.92

=====

# 12
Here is crystalline Ba2Ni3N2 at its relaxed geometry from Materials Project. Energies are from PBE-GGA.

Lattice parameters (Å, degrees): 6.3319 6.3319 7.4152 90.00 90.00 111.50
Positions (direct):
1 Ni 0.8249 0.6759 0.7518
2 Ni 0.3249 0.1759 0.7482
3 Ni 0.5210 0.5210 0.0000
4 Ni 0.0210 0.0210 0.5000
5 Ni 0.6759 0.8249 0.2482
6 Ni 0.1759 0.3249 0.2518
7 Ba 0.6690 0.3307 0.4089
8 Ba 0.3307 0.6690 0.5911
9 Ba 0.8307 0.1690 0.9089
10 Ba 0.1690 0.8307 0.0911
11 N 0.4259 0.5731 0.2260
12 N 0.5731 0.4259 0.7740
13 N 0.0731 0.9259 0.7260
14 N 0.9259 0.0731 0.2740

Values from the calculation:
- MP2020-corrected energy (eV/atom) = -5.92
- energy of formation from the pure elements (eV per atom) = -0.511
- density (g cm⁻³) = 5.75
- total DFT energy (no corrections) (eV/atom) = -5.81

=====

- What is the density in the fourth record?
  4.66 g cm⁻³